[1]
NbSb2 | PBE | relaxed

Calculated values
- SG = C2/m (12)
- crystal system = monoclinic

Lattice parameters (Å, degrees): 3.675 5.494 7.587 78.40 75.98 70.46
Positions (direct):
Sb: 0.149 0.238 0.464
Sb: 0.405 0.302 0.888
Sb: 0.595 0.698 0.112
Sb: 0.851 0.762 0.536
Nb: 0.848 0.113 0.190
Nb: 0.152 0.887 0.810

---

[2]
LaTmS2 | PBE | relaxed

Calculated values
- SG = R-3m (166)
- crystal system = trigonal

Lattice parameters (Å, degrees): 7.124 7.124 7.124 32.04 32.04 32.04
Positions (direct):
Tm: 0.500 0.500 0.500
La: 0.000 0.000 0.000
S: 0.241 0.241 0.241
S: 0.759 0.759 0.759

---

[3]
Ca11Si4ClO18 | PBE | relaxed

Calculated values
- SG = I4/mmm (139)
- crystal system = tetragonal

Lattice parameters (Å, degrees): 8.702 8.702 8.702 105.23 105.23 118.34
Positions (direct):
O: 0.292 0.005 0.000
O: 0.250 0.750 0.500
O: 0.708 0.708 0.714
O: 0.817 0.365 0.182
O: 0.365 0.817 0.182
O: 0.292 0.292 0.286
O: 0.995 0.708 0.000
O: 0.005 0.292 0.000
O: 0.817 0.635 0.452
O: 0.635 0.817 0.452
O: 0.750 0.250 0.500
O: 0.005 0.005 0.714
O: 0.183 0.635 0.818
O: 0.708 0.995 0.000
O: 0.995 0.995 0.286
O: 0.635 0.183 0.818
O: 0.183 0.365 0.548
O: 0.365 0.183 0.548
Ca: 0.707 0.963 0.257
Ca: 0.293 0.550 0.257
Ca: 0.500 0.000 0.500
Ca: 0.000 0.500 0.500
Ca: 0.550 0.293 0.257
Ca: 0.037 0.293 0.743
Ca: 0.450 0.707 0.743
Ca: 0.963 0.707 0.257
Ca: 0.707 0.450 0.743
Ca: 0.000 0.000 0.000
Ca: 0.293 0.037 0.743
Si: 0.211 0.211 0.423
Si: 0.789 0.789 0.577
Si: 0.789 0.211 0.000
Si: 0.211 0.789 0.000
Cl: 0.500 0.500 0.000

---

[4]
LaCo2As2 | PBE | relaxed

Calculated values
- SG = I4/mmm (139)
- crystal system = tetragonal

Lattice parameters (Å, degrees): 5.942 5.942 5.942 139.84 139.84 58.10
Positions (direct):
La: 0.000 0.000 0.000
As: 0.638 0.638 0.000
As: 0.362 0.362 0.000
Co: 0.750 0.250 0.500
Co: 0.250 0.750 0.500

---

[5]
ZnCu2SiSe4 | PBE | relaxed

Calculated values
- SG = I-42m (121)
- crystal system = tetragonal

Lattice parameters (Å, degrees): 6.851 6.851 6.851 131.83 131.83 70.49
Positions (direct):
Se: 0.389 0.389 0.527
Se: 0.611 0.138 0.000
Se: 0.138 0.611 0.000
Se: 0.862 0.862 0.473
Cu: 0.750 0.250 0.500
Cu: 0.250 0.750 0.500
Si: 0.500 0.500 0.000
Zn: 0.000 0.000 0.000

---

[6]
Li3Bi2P3O12 | PBE | relaxed

Calculated values
- energy relative to the lowest polymorph listed for this composition (meV per atom) = 8
- SG = P2_1/c (14)
- crystal system = monoclinic

Lattice parameters (Å, degrees): 9.237 9.309 16.038 55.04 90.00 90.00
Positions (direct):
P: 0.390 0.068 0.835
P: 0.758 0.536 0.511
P: 0.092 0.734 0.168
P: 0.258 0.464 0.989
P: 0.242 0.464 0.489
P: 0.890 0.932 0.665
P: 0.610 0.932 0.165
P: 0.110 0.068 0.335
P: 0.592 0.266 0.332
P: 0.908 0.266 0.832
P: 0.742 0.536 0.011
P: 0.408 0.734 0.668
Li: 0.230 0.389 0.821
Li: 0.786 0.181 0.244
Li: 0.112 0.225 0.693
Li: 0.770 0.611 0.179
Li: 0.714 0.181 0.744
Li: 0.612 0.775 0.807
Li: 0.214 0.819 0.756
Li: 0.270 0.389 0.321
Li: 0.388 0.225 0.193
Li: 0.730 0.611 0.679
Li: 0.888 0.775 0.307
Li: 0.286 0.819 0.256
O: 0.761 0.365 0.791
O: 0.399 0.885 0.685
O: 0.110 0.244 0.326
O: 0.630 0.653 0.445
O: 0.928 0.192 0.945
O: 0.129 0.454 0.565
O: 0.790 0.344 0.092
O: 0.023 0.935 0.725
O: 0.599 0.088 0.053
O: 0.072 0.808 0.055
O: 0.401 0.912 0.947
O: 0.901 0.088 0.553
O: 0.428 0.808 0.555
O: 0.371 0.454 0.065
O: 0.610 0.756 0.174
O: 0.825 0.609 0.569
O: 0.245 0.054 0.790
O: 0.890 0.756 0.674
O: 0.175 0.391 0.431
O: 0.210 0.656 0.908
O: 0.390 0.244 0.826
O: 0.899 0.115 0.815
O: 0.255 0.054 0.290
O: 0.099 0.912 0.447
O: 0.130 0.347 0.055
O: 0.477 0.935 0.225
O: 0.540 0.618 0.732
O: 0.871 0.546 0.435
O: 0.101 0.885 0.185
O: 0.739 0.365 0.291
O: 0.745 0.946 0.710
O: 0.572 0.192 0.445
O: 0.601 0.115 0.315
O: 0.870 0.653 0.945
O: 0.710 0.344 0.592
O: 0.290 0.656 0.408
O: 0.629 0.546 0.935
O: 0.370 0.347 0.555
O: 0.040 0.382 0.768
O: 0.960 0.618 0.232
O: 0.675 0.609 0.069
O: 0.977 0.065 0.275
O: 0.755 0.946 0.210
O: 0.460 0.382 0.268
O: 0.239 0.635 0.209
O: 0.261 0.635 0.709
O: 0.325 0.391 0.931
O: 0.523 0.065 0.775
Bi: 0.040 0.854 0.900
Bi: 0.553 0.341 0.899
Bi: 0.540 0.146 0.600
Bi: 0.947 0.341 0.399
Bi: 0.460 0.854 0.400
Bi: 0.960 0.146 0.100
Bi: 0.053 0.659 0.601
Bi: 0.447 0.659 0.101

---

[7]
KMnH24C14N8 | PBE | relaxed

Calculated values
- SG = I4/m (87)
- crystal system = tetragonal

Lattice parameters (Å, degrees): 8.873 8.873 8.873 119.32 119.32 91.17
Positions (direct):
K: 0.500 0.500 0.000
C: 0.840 0.840 0.000
C: 0.598 0.292 0.532
C: 0.134 0.178 0.312
C: 0.866 0.822 0.688
C: 0.822 0.134 0.956
C: 0.708 0.240 0.306
C: 0.178 0.866 0.044
C: 0.240 0.934 0.532
C: 0.066 0.598 0.306
C: 0.292 0.760 0.694
C: 0.402 0.708 0.468
C: 0.934 0.402 0.694
C: 0.760 0.066 0.468
C: 0.160 0.160 0.000
Mn: 0.000 0.000 0.000
H: 0.089 0.488 0.200
H: 0.544 0.189 0.543
H: 0.024 0.346 0.774
H: 0.428 0.750 0.774
H: 0.288 0.889 0.800
H: 0.111 0.911 0.399
H: 0.354 0.999 0.543
H: 0.654 0.428 0.678
H: 0.889 0.089 0.601
H: 0.911 0.512 0.800
H: 0.346 0.572 0.322
H: 0.646 0.001 0.457
H: 0.712 0.111 0.200
H: 0.189 0.646 0.645
H: 0.488 0.288 0.399
H: 0.512 0.712 0.601
H: 0.976 0.654 0.226
H: 0.811 0.354 0.355
H: 0.250 0.024 0.678
H: 0.999 0.456 0.645
H: 0.456 0.811 0.457
H: 0.572 0.250 0.226
H: 0.750 0.976 0.322
H: 0.001 0.544 0.355
N: 0.745 0.745 0.000
N: 0.281 0.785 0.066
N: 0.785 0.719 0.504
N: 0.250 0.750 0.500
N: 0.215 0.281 0.496
N: 0.255 0.255 0.000
N: 0.750 0.250 0.500
N: 0.719 0.215 0.934

---

[8]
Na7MgSc3Si3S3O24 | PBE | relaxed

Calculated values
- SG = P1 (1)
- crystal system = triclinic

Lattice parameters (Å, degrees): 9.165 9.133 22.580 90.22 89.88 119.84
Positions (direct):
Si: 0.667 0.631 0.586
Si: 0.296 0.297 0.751
Si: 0.044 0.670 0.417
Si: 0.706 0.005 0.751
Si: 0.635 0.971 0.417
Si: 0.327 0.962 0.917
Si: 0.667 0.040 0.085
Si: 0.365 0.332 0.084
Si: 0.702 0.696 0.251
O: 0.131 0.646 0.079
O: 0.452 0.138 0.529
O: 0.312 0.850 0.976
O: 0.984 0.195 0.306
O: 0.842 0.821 0.586
O: 0.348 0.501 0.074
O: 0.975 0.179 0.587
O: 0.510 0.677 0.254
O: 0.302 0.841 0.255
O: 0.483 0.374 0.143
O: 0.884 0.526 0.140
O: 0.870 0.358 0.920
O: 0.546 0.846 0.474
O: 0.456 0.303 0.025
O: 0.826 0.002 0.086
O: 0.164 0.991 0.914
O: 0.478 0.119 0.637
O: 0.852 0.534 0.744
O: 0.149 0.459 0.967
O: 0.692 0.176 0.743
O: 0.815 0.781 0.310
O: 0.030 0.809 0.695
O: 0.523 0.638 0.863
O: 0.028 0.211 0.200
O: 0.200 0.016 0.589
O: 0.852 0.542 0.033
O: 0.503 0.151 0.918
O: 0.181 0.202 0.408
O: 0.825 0.000 0.412
O: 0.187 0.152 0.090
O: 0.516 0.834 0.755
O: 0.849 0.311 0.246
O: 0.354 0.866 0.580
O: 0.855 0.309 0.530
O: 0.153 0.688 0.756
O: 0.821 0.027 0.809
O: 0.363 0.478 0.362
O: 0.212 0.026 0.305
O: 0.155 0.467 0.255
O: 0.464 0.148 0.248
O: 0.640 0.153 0.424
O: 0.685 0.508 0.245
O: 0.128 0.489 0.579
O: 0.692 0.541 0.526
O: 0.494 0.850 0.080
O: 0.878 0.356 0.637
O: 0.852 0.501 0.421
O: 0.119 0.470 0.860
O: 0.127 0.631 0.359
O: 0.303 0.451 0.468
O: 0.546 0.690 0.969
O: 0.210 0.180 0.810
O: 0.356 0.872 0.858
O: 0.189 0.979 0.198
O: 0.788 0.965 0.692
O: 0.156 0.687 0.476
O: 0.648 0.516 0.922
O: 0.502 0.659 0.581
O: 0.483 0.352 0.422
O: 0.034 0.844 0.414
O: 0.639 0.125 0.144
O: 0.979 0.796 0.089
O: 0.019 0.202 0.913
O: 0.169 0.200 0.695
O: 0.307 0.483 0.756
O: 0.513 0.882 0.359
O: 0.484 0.319 0.747
O: 0.973 0.788 0.801
O: 0.653 0.525 0.645
O: 0.792 0.820 0.193
O: 0.692 0.148 0.025
O: 0.795 0.824 0.911
S: 0.000 0.705 0.749
S: 0.002 0.294 0.252
S: 0.960 0.334 0.584
S: 0.630 0.667 0.917
S: 0.372 0.040 0.584
S: 0.291 0.001 0.252
S: 0.039 0.376 0.916
S: 0.331 0.371 0.416
S: 0.958 0.622 0.085
Na: 0.721 0.687 0.415
Na: 0.334 0.289 0.919
Na: 0.383 0.019 0.755
Na: 0.997 0.348 0.750
Na: 0.386 0.378 0.240
Na: 0.960 0.299 0.412
Na: 0.690 0.033 0.916
Na: 0.332 0.018 0.416
Na: 0.654 0.692 0.091
Na: 0.318 0.985 0.080
Na: 0.013 0.011 0.004
Na: 0.655 0.320 0.830
Na: 0.987 0.984 0.496
Na: 0.982 0.634 0.255
Na: 0.346 0.658 0.162
Na: 0.667 0.954 0.584
Na: 0.352 0.649 0.667
Na: 0.624 0.626 0.740
Na: 0.638 0.993 0.242
Na: 0.678 0.347 0.332
Na: 0.018 0.697 0.577
Sc: 0.012 0.008 0.849
Sc: 0.349 0.674 0.516
Sc: 0.678 0.350 0.481
Sc: 0.993 0.004 0.651
Sc: 0.985 0.004 0.145
Sc: 0.652 0.314 0.986
Sc: 0.344 0.681 0.318
Sc: 0.333 0.674 0.021
Sc: 0.345 0.679 0.814
Mg: 0.650 0.332 0.686
Mg: 0.658 0.337 0.178
Mg: 0.983 0.978 0.353

---

What did we get for energy of formation? Answer: -0.399, -2.306, -3.316, -0.763, -0.632, -2.505, -0.070, -2.735 eV per atom, in the order shown.